Entry 1:
Compound: Ba3Mo2P4O18
Source: the Materials Project database
Functional: GGA+U
Structure: relaxed

a b c (Å): 4.9268 9.3659 18.2656
angles (deg): 88.31 88.21 78.52
With the nearest neighbours (Å) after each atom.
Sites, in units of the cell vectors:
Ba  0.0377  0.4087  0.3466  9 O 2.78-3.04
Ba  0.2738  0.9968  0.7480  7 O 2.76-3.07
Ba  0.4083  0.5953  0.1463  6 O 2.74-3.02
Ba  0.5917  0.4047  0.8537  6 O 2.74-3.02
Ba  0.7262  0.0032  0.2520  7 O 2.76-3.07
Ba  0.9623  0.5913  0.6534  9 O 2.78-3.04
Mo  0.1929  0.2336  0.5525  1 O 1.74
Mo  0.3296  0.7737  0.9487  1 O 1.74
Mo  0.6704  0.2263  0.0513  1 O 1.74
Mo  0.8071  0.7664  0.4475  1 O 1.74
P  0.1297  0.2659  0.1772  4 O 1.54-1.58
P  0.2001  0.1526  0.9302  4 O 1.53-1.56
P  0.2609  0.8590  0.5655  4 O 1.53-1.58
P  0.3661  0.7122  0.3214  4 O 1.53-1.58
P  0.6339  0.2878  0.6786  4 O 1.53-1.58
P  0.7391  0.1410  0.4345  4 O 1.53-1.58
P  0.7999  0.8474  0.0698  4 O 1.53-1.56
P  0.8703  0.7341  0.8228  4 O 1.54-1.58
O  0.9997  0.2025  0.4573  1 P 1.58
O  0.0003  0.7975  0.5427  1 P 1.58
O  0.0118  0.8213  0.8765  1 P 1.56
O  0.0184  0.5754  0.8116  1 P 1.54
O  0.1053  0.8419  0.0420  1 P 1.56
O  0.1578  0.0183  0.5901  1 P 1.55
O  0.1626  0.1773  0.2501  1 P 1.54
O  0.1703  0.6979  0.3888  1 P 1.56
O  0.1929  0.2290  0.8547  1 P 1.53
O  0.2252  0.4127  0.5345  1 Mo 1.74
O  0.2334  0.8144  0.2598  1 P 1.53
O  0.2978  0.5934  0.9632  1 Mo 1.74
O  0.3407  0.2379  0.9848  1 P 1.56
O  0.3521  0.9924  0.9243  1 P 1.54
O  0.3810  0.2240  0.6526  1 P 1.58
O  0.3916  0.7644  0.6298  1 P 1.53
O  0.4309  0.2706  0.1458  1 P 1.58
O  0.4483  0.8599  0.4963  1 P 1.54
O  0.4719  0.5555  0.2942  1 P 1.55
O  0.5281  0.4445  0.7058  1 P 1.55
O  0.5517  0.1401  0.5037  1 P 1.54
O  0.5691  0.7294  0.8542  1 P 1.58
O  0.6084  0.2356  0.3702  1 P 1.53
O  0.6190  0.7760  0.3474  1 P 1.58
O  0.6479  0.0076  0.0757  1 P 1.54
O  0.6593  0.7621  0.0152  1 P 1.56
O  0.7022  0.4066  0.0368  1 Mo 1.74
O  0.7666  0.1856  0.7402  1 P 1.53
O  0.7748  0.5873  0.4655  1 Mo 1.74
O  0.8071  0.7710  0.1453  1 P 1.53
O  0.8297  0.3021  0.6112  1 P 1.56
O  0.8374  0.8227  0.7499  1 P 1.54
O  0.8422  0.9817  0.4099  1 P 1.55
O  0.8947  0.1581  0.9580  1 P 1.56
O  0.9816  0.4246  0.1884  1 P 1.54
O  0.9882  0.1787  0.1235  1 P 1.56



Entry 2:
Compound: Li2VCrO4
Source: the Materials Project database
Functional: GGA+U
Structure: relaxed

Properties
* E above lowest polymorph: 10 meV per atom

a b c (Å): 5.1599 5.1793 8.9497
angles (deg): 90.10 106.69 99.49
With the nearest neighbours (Å) after each atom.
Sites, in units of the cell vectors:
Li  0.0000  0.0000  0.0000  6 O 2.16-2.23
Li  0.0007  0.0002  0.3310  6 O 2.13-2.22
Li  0.0014  0.5130  0.1649  6 O 2.12-2.23
Li  0.9971  0.0074  0.6601  6 O 2.16-2.22
Li  0.9978  0.5044  0.8312  6 O 2.18-2.19
Li  0.9983  0.5067  0.4956  6 O 2.17-2.20
V  0.4991  0.2555  0.2458  6 O 2.04-2.08
V  0.4993  0.7560  0.7475  6 O 2.04-2.08
V  0.4998  0.2547  0.9145  6 O 2.04-2.07
Cr  0.4989  0.2559  0.5787  6 O 2.03-2.04
Cr  0.4988  0.7561  0.4130  6 O 2.03-2.04
Cr  0.4997  0.7543  0.0825  6 O 2.02-2.05
O  0.2711  0.3866  0.0444  2 V 2.04-2.07, 1 Cr 2.04, 3 Li 2.16-2.21
O  0.2716  0.8775  0.2092  2 Cr 2.02-2.03, 1 V 2.08, 3 Li 2.12-2.17
O  0.2727  0.8832  0.8778  2 V 2.05, 1 Cr 2.05, 3 Li 2.17-2.22
O  0.2731  0.8888  0.5407  2 Cr 2.03-2.04, 1 V 2.07, 3 Li 2.14-2.20
O  0.2738  0.3839  0.7090  1 Cr 2.04, 2 V 2.05, 3 Li 2.18-2.19
O  0.2758  0.3867  0.3759  2 Cr 2.03-2.04, 1 V 2.04, 3 Li 2.18-2.22
O  0.7227  0.1258  0.4498  2 Cr 2.03-2.04, 1 V 2.04, 3 Li 2.16-2.20
O  0.7235  0.6260  0.6170  2 Cr 2.04, 1 V 2.05, 3 Li 2.18-2.19
O  0.7262  0.1231  0.1190  2 V 2.04-2.05, 1 Cr 2.04, 3 Li 2.17-2.23
O  0.7259  0.1257  0.7816  1 Cr 2.04, 2 V 2.04-2.07, 3 Li 2.16-2.23
O  0.7270  0.6233  0.9553  1 Cr 2.04, 2 V 2.04-2.08, 3 Li 2.14-2.18
O  0.7275  0.6332  0.2854  2 Cr 2.02-2.03, 1 V 2.08, 3 Li 2.13-2.17



Entry 3:
Compound: Li9Co7O16
Source: the Materials Project database
Functional: GGA+U
Structure: relaxed

Properties
* E above lowest polymorph: 122 meV per atom

a b c (Å): 5.1708 5.1708 19.7934
angles (deg): 101.73 101.73 33.76
With the nearest neighbours (Å) after each atom.
Sites, in units of the cell vectors:
Li  0.0000  0.0000  0.0000  6 O 2.00-2.15
Li  0.2483  0.2483  0.1870  6 O 1.99-2.18
Li  0.2500  0.2500  0.6877  6 O 2.11-2.15
Li  0.2513  0.2513  0.4377  6 O 2.07-2.18
Li  0.2519  0.2519  0.9382  6 O 2.11-2.21
Li  0.7481  0.7481  0.0618  6 O 2.11-2.21
Li  0.7487  0.7487  0.5623  6 O 2.07-2.18
Li  0.7500  0.7500  0.3123  6 O 2.11-2.15
Li  0.7517  0.7517  0.8130  6 O 1.99-2.18
Co  0.0002  0.0002  0.2490  6 O 1.89-2.10
Co  0.0000  0.0000  0.5000  6 O 1.89-2.07
Co  0.9998  0.9998  0.7510  6 O 1.89-2.10
Co  0.4991  0.4991  0.3753  6 O 1.92-2.10
Co  0.4991  0.4991  0.8801  2 O 1.74-1.94
Co  0.5009  0.5009  0.1199  2 O 1.74-1.94
Co  0.5009  0.5009  0.6247  6 O 1.92-2.10
O  0.1131  0.1131  0.8408  1 Co 1.89, 1 Li 2.12
O  0.1138  0.1138  0.0963  2 Co 1.99, 4 Li 1.99-2.21
O  0.1137  0.1137  0.5898  3 Co 1.89-2.07, 1 Li 2.11
O  0.1165  0.1165  0.3405  3 Co 1.93-2.10, 3 Li 2.09-2.15
O  0.3835  0.3835  0.0409  1 Co 1.74
O  0.3836  0.3836  0.2844  3 Co 1.92-2.10, 1 Li 2.10
O  0.3857  0.3857  0.5333  3 Co 1.92-2.07, 1 Li 2.07
O  0.3887  0.3887  0.7868  3 Co 1.94-2.07, 3 Li 2.14-2.16
O  0.6113  0.6113  0.2132  3 Co 1.94-2.07, 3 Li 2.14-2.16
O  0.6143  0.6143  0.4667  3 Co 1.92-2.07, 1 Li 2.07
O  0.6164  0.6164  0.7156  3 Co 1.92-2.10, 1 Li 2.10
O  0.6165  0.6165  0.9591  1 Co 1.74
O  0.8835  0.8835  0.6595  3 Co 1.93-2.10, 3 Li 2.09-2.15
O  0.8863  0.8863  0.4102  3 Co 1.89-2.07, 1 Li 2.11
O  0.8862  0.8862  0.9037  2 Co 1.99, 4 Li 1.99-2.21
O  0.8869  0.8869  0.1592  1 Co 1.89, 1 Li 2.12



Entry 4:
Compound: Li2CrP4O12
Source: the Materials Project database
Functional: GGA+U
Structure: relaxed

Properties
* E above lowest polymorph: 41 meV per atom

a b c (Å): 8.1441 8.1441 8.2154
angles (deg): 96.74 96.74 103.36
With the nearest neighbours (Å) after each atom.
Sites, in units of the cell vectors:
Li  0.1855  0.8145  0.5000  2 O 1.99-2.16
Li  0.5436  0.9152  0.3636  2 O 1.99-2.04
Li  0.8145  0.1855  0.0000  2 O 1.99-2.16
Li  0.9152  0.5436  0.8636  2 O 1.99-2.04
Cr  0.1860  0.4755  0.1903  4 O 2.04-2.07
Cr  0.4755  0.1860  0.6903  4 O 2.04-2.07
P  0.1251  0.2936  0.7445  4 O 1.49-1.62
P  0.1885  0.8152  0.0055  4 O 1.49-1.62
P  0.2936  0.1251  0.2445  4 O 1.49-1.62
P  0.3890  0.5428  0.6153  4 O 1.50-1.63
P  0.5121  0.8594  0.8567  4 O 1.48-1.63
P  0.5428  0.3890  0.1153  4 O 1.50-1.63
P  0.8152  0.1885  0.5055  4 O 1.49-1.62
P  0.8594  0.5121  0.3567  4 O 1.48-1.63
O  0.0058  0.1811  0.5795  2 P 1.62
O  0.0158  0.3374  0.8721  1 P 1.52
O  0.0765  0.7613  0.8417  1 P 1.49
O  0.1483  0.7043  0.1372  1 P 1.51
O  0.1811  0.0058  0.0795  2 P 1.62
O  0.2001  0.2576  0.2888  1 P 1.49
O  0.2082  0.4698  0.6795  2 P 1.62-1.63
O  0.2576  0.2001  0.7888  1 P 1.49
O  0.3374  0.0158  0.3721  1 P 1.52
O  0.3512  0.6438  0.4792  1 P 1.51
O  0.3909  0.8359  0.0005  2 P 1.62-1.63
O  0.4046  0.4800  0.0843  1 P 1.50
O  0.4229  0.9352  0.7231  1 P 1.51
O  0.4698  0.2082  0.1795  2 P 1.62-1.63
O  0.4800  0.4046  0.5843  1 P 1.50
O  0.5025  0.6652  0.7789  2 P 1.62
O  0.6438  0.3512  0.9792  1 P 1.51
O  0.6652  0.5025  0.2789  2 P 1.62
O  0.6889  0.9417  0.9396  1 P 1.48
O  0.7043  0.1483  0.6372  1 P 1.51
O  0.7613  0.0765  0.3417  1 P 1.49
O  0.8359  0.3909  0.5005  2 P 1.62-1.63
O  0.9352  0.4229  0.2231  1 P 1.51
O  0.9417  0.6889  0.4396  1 P 1.48



Entry 5:
Compound: CrFeTeO6
Source: the Materials Project database
Functional: GGA+U
Structure: relaxed

a b c (Å): 4.5764 4.5764 9.1264
angles (deg): 90.00 90.00 90.00
With the nearest neighbours (Å) after each atom.
Sites, in units of the cell vectors:
Cr  0.0000  0.0000  0.0000  6 O 1.99-2.01
Cr  0.5000  0.5000  0.5000  6 O 1.99-2.01
Fe  0.0000  0.0000  0.6682  6 O 1.96
Fe  0.5000  0.5000  0.1682  6 O 1.96
Te  0.0000  0.0000  0.3344  6 O 1.95-1.97
Te  0.5000  0.5000  0.8344  6 O 1.95-1.97
O  0.1898  0.1898  0.5010  1 Te 1.95, 1 Fe 1.96, 1 Cr 2.01
O  0.1962  0.1962  0.8323  1 Fe 1.96, 1 Te 1.97, 1 Cr 1.99
O  0.1966  0.1966  0.1707  1 Te 1.96, 1 Fe 1.96, 1 Cr 2.01
O  0.3034  0.6966  0.6707  1 Te 1.96, 1 Fe 1.96, 1 Cr 2.01
O  0.3038  0.6962  0.3323  1 Fe 1.96, 1 Te 1.97, 1 Cr 1.99
O  0.3102  0.6898  0.0010  1 Te 1.95, 1 Fe 1.96, 1 Cr 2.01
O  0.6898  0.3102  0.0010  1 Te 1.95, 1 Fe 1.96, 1 Cr 2.01
O  0.6962  0.3038  0.3323  1 Fe 1.96, 1 Te 1.97, 1 Cr 1.99
O  0.6966  0.3034  0.6707  1 Te 1.96, 1 Fe 1.96, 1 Cr 2.01
O  0.8034  0.8034  0.1707  1 Te 1.96, 1 Fe 1.96, 1 Cr 2.01
O  0.8038  0.8038  0.8323  1 Fe 1.96, 1 Te 1.97, 1 Cr 1.99
O  0.8102  0.8102  0.5010  1 Te 1.95, 1 Fe 1.96, 1 Cr 2.01



Entry 6:
Compound: Li2MnCO5
Source: the Materials Project database
Functional: GGA+U
Structure: relaxed

a b c (Å): 9.4382 11.8298 2.9090
angles (deg): 90.00 90.00 90.00
With the nearest neighbours (Å) after each atom.
Sites, in units of the cell vectors:
Li  0.0000  0.0000  0.0000  6 O 2.02-2.12
Li  0.0000  0.5000  0.5000  6 O 2.03-2.17
Li  0.0059  0.2162  0.5000  4 O 1.96-2.08
Li  0.4941  0.7162  0.5000  4 O 1.96-2.08
Li  0.5000  0.0000  0.5000  6 O 2.03-2.17
Li  0.5000  0.5000  0.0000  6 O 2.02-2.12
Li  0.5059  0.2838  0.5000  4 O 1.96-2.08
Li  0.9941  0.7838  0.5000  4 O 1.96-2.08
Mn  0.2432  0.3866  0.0000  6 O 1.91-2.03
Mn  0.2568  0.8866  0.0000  6 O 1.91-2.03
Mn  0.7432  0.1134  0.0000  6 O 1.91-2.03
Mn  0.7568  0.6134  0.0000  6 O 1.91-2.03
C  0.2387  0.6379  0.0000  3 O 1.26-1.32
C  0.2613  0.1379  0.0000  3 O 1.26-1.32
C  0.7387  0.8621  0.0000  3 O 1.26-1.32
C  0.7613  0.3621  0.0000  3 O 1.26-1.32
O  0.1172  0.3564  0.5000  2 Mn 1.91, 2 Li 1.96-2.03
O  0.1280  0.1366  0.0000  1 C 1.26
O  0.1296  0.9198  0.5000  2 Mn 1.93, 3 Li 2.06-2.12
O  0.1608  0.5454  0.0000  1 C 1.32
O  0.1655  0.7323  0.0000  1 C 1.31
O  0.3345  0.2323  0.0000  1 C 1.31
O  0.3392  0.0454  0.0000  1 C 1.32
O  0.3704  0.4198  0.5000  2 Mn 1.93, 3 Li 2.06-2.12
O  0.3720  0.6366  0.0000  1 C 1.26
O  0.3828  0.8564  0.5000  2 Mn 1.91, 2 Li 1.96-2.03
O  0.6172  0.1436  0.5000  2 Mn 1.91, 2 Li 1.96-2.03
O  0.6280  0.3634  0.0000  1 C 1.26
O  0.6296  0.5802  0.5000  2 Mn 1.93, 3 Li 2.06-2.12
O  0.6608  0.9546  0.0000  1 C 1.32
O  0.6655  0.7677  0.0000  1 C 1.31
O  0.8345  0.2677  0.0000  1 C 1.31
O  0.8392  0.4546  0.0000  1 C 1.32
O  0.8704  0.0802  0.5000  2 Mn 1.93, 3 Li 2.06-2.12
O  0.8720  0.8634  0.0000  1 C 1.26
O  0.8828  0.6436  0.5000  2 Mn 1.91, 2 Li 1.96-2.03



Entry 7:
Compound: CaCoGe4O12
Source: the Materials Project database
Functional: GGA+U
Structure: relaxed

a b c (Å): 7.4195 5.2351 5.2351
angles (deg): 97.61 90.00 90.00
With the nearest neighbours (Å) after each atom.
Sites, in units of the cell vectors:
Ca  0.0000  0.0000  0.0000  6 O 2.32-2.53
Co  0.5000  0.6349  0.6349  6 O 1.91-2.11
Ge  0.2550  0.0926  0.5369  5 O 1.83-1.92
Ge  0.2550  0.5369  0.0926  5 O 1.83-1.92
Ge  0.7450  0.0926  0.5369  5 O 1.83-1.92
Ge  0.7450  0.5369  0.0926  5 O 1.83-1.92
O  0.0000  0.1073  0.5197  2 Ge 1.90
O  0.0000  0.5197  0.1073  2 Ge 1.90
O  0.2436  0.2328  0.8760  2 Ge 1.83
O  0.2435  0.7442  0.7442  1 Co 2.05, 2 Ge 2.24
O  0.2436  0.8760  0.2328  2 Ge 1.83
O  0.3151  0.4023  0.4023  2 Ge 1.90, 1 Co 2.11
O  0.5000  0.5678  0.9856  1 Co 1.91, 2 Ge 1.92
O  0.5000  0.9856  0.5678  1 Co 1.91, 2 Ge 1.92
O  0.6849  0.4023  0.4023  2 Ge 1.90, 1 Co 2.11
O  0.7564  0.2328  0.8760  2 Ge 1.83
O  0.7565  0.7442  0.7442  1 Co 2.05, 2 Ge 2.24
O  0.7564  0.8760  0.2328  2 Ge 1.83



Entry 8:
Compound: LiMnO2
Source: the Materials Project database
Functional: GGA+U
Structure: relaxed

a b c (Å): 2.8734 2.8734 5.1433
angles (deg): 90.00 90.00 120.00
With the nearest neighbours (Å) after each atom.
Sites, in units of the cell vectors:
Li  0.0000  0.0000  0.0000  4 O 1.89-1.98
Mn  0.3333  0.6667  0.5631  6 O 1.94-2.02
O  0.0000  0.0000  0.3665  1 Li 1.89, 3 Mn 1.94
O  0.6667  0.3333  0.7885  3 Li 1.98, 3 Mn 2.02



no.,energy of formation (meV/atom),E (MP2020) (eV for the cell shown)
1,-2851,-430.3
2,-2439,-185.6
3,-1633,-198.4
4,-2573,-286.8
5,-1799,-134.3
6,-2059,-261.9
7,-1703,-117.6
8,-1945,-28.7